1.
CeNdAl2O6: relaxed, PBE.

The structure in extended XYZ format:
```
10
Lattice="-4.6844 -2.3093 -1.1792 2.4599 -4.7282 -0.5101 -1.6879 -4.1935 2.8628" Properties=species:S:1:pos:R:3 pbc="T T T"
O -1.6052 -5.0391 -1.0769
Al -5.1406 -8.8674 1.4288
O -0.0508 -6.2666 0.7636
O -4.8524 -7.0157 1.8147
Nd -1.3983 -3.8478 1.0197
Al -1.5719 -10.0757 1.7630
O -3.8649 -4.9753 0.4063
O -2.3086 -6.1908 2.2703
O -0.7450 -8.4063 2.1994
Ce -2.5124 -7.3763 0.1600
```

space group	Cm, No. 8

2.
CeAl2Ni: relaxed, PBE.

The structure in extended XYZ format:
```
8
Lattice="2.0743 -5.1111 0.0000 2.0743 5.1111 0.0000 0.0000 0.0000 6.8698" Properties=species:S:1:pos:R:3 pbc="T T T"
Ce 2.0743 -0.6345 1.7174
Ni 2.0743 -2.1921 5.1523
Al 2.0743 3.5201 3.8069
Al 2.0743 3.5201 6.4977
Al 2.0743 -3.5201 0.3720
Ce 2.0743 0.6345 5.1523
Al 2.0743 -3.5201 3.0629
Ni 2.0743 2.1921 1.7174
```

space group	Cmcm, No. 63

3.
CeAl3Ni2: relaxed, PBE.

The structure in extended XYZ format:
```
6
Lattice="2.6397 -4.5722 0.0000 2.6397 4.5722 0.0000 0.0000 0.0000 4.0471" Properties=species:S:1:pos:R:3 pbc="T T T"
Ni 2.6397 -1.5241 0.0000
Ce 0.0000 0.0000 0.0000
Ni 2.6397 1.5241 0.0000
Al 1.3199 -2.2861 2.0236
Al 2.6397 0.0000 2.0236
Al 1.3199 2.2861 2.0236
```

space group	P6/mmm, No. 191

4.
CeAl5Ni2: relaxed, PBE.

The structure in extended XYZ format:
```
8
Lattice="-1.9911 3.5148 4.7488 1.9911 -3.5148 4.7488 1.9911 3.5148 -4.7488" Properties=species:S:1:pos:R:3 pbc="T T T"
Ni 1.9911 0.0000 2.4487
Al 0.0000 1.3362 6.2324
Al 1.9911 2.1786 -1.4836
Al 0.0000 3.5148 0.0000
Ce 0.0000 0.0000 0.0000
Ni 0.0000 3.5148 2.3001
Al 1.9911 2.1786 1.4836
Al 0.0000 1.3362 3.2652
```

space group	Immm, No. 71

5.
CeAl4Ni: relaxed, PBE.

The structure in extended XYZ format:
```
12
Lattice="-6.9509 3.6298 1.8877 5.5009 -5.7451 1.3369 3.2221 4.0389 4.0982" Properties=species:S:1:pos:R:3 pbc="T T T"
Al 4.6839 0.9957 5.3913
Ni 3.4923 -2.6166 2.4860
Ce -4.7199 3.5662 2.8492
Al -0.7250 -1.0577 1.6123
Al 5.3429 -4.0099 2.4041
Al -2.9117 0.9279 1.9315
Al -3.5708 5.9335 4.9187
Ni -1.7201 4.5401 4.8369
Al -1.6388 2.5235 3.5506
Al 3.4109 -0.6000 3.7722
Ce 6.4920 -1.6427 4.4736
Al 0.8861 0.9618 3.6614
```

space group	Cmcm, No. 63

6.
CeAlNi: relaxed, PBE.

The structure in extended XYZ format:
```
9
Lattice="3.4447 -5.9664 0.0000 3.4447 5.9664 0.0000 0.0000 0.0000 4.0427" Properties=species:S:1:pos:R:3 pbc="T T T"
Al 5.2889 0.0000 0.0000
Ce 1.9853 -3.4386 2.0214
Ce 1.9853 3.4386 2.0214
Al 0.8002 -1.3860 0.0000
Ni 0.0000 0.0000 2.0214
Ce 2.9189 0.0000 2.0214
Ni 3.4447 -1.9888 0.0000
Al 0.8002 1.3860 0.0000
Ni 3.4447 1.9888 0.0000
```

space group	P-62m, No. 189

7.
Ce2AlSi2O9: relaxed, PBE.

The structure in extended XYZ format:
```
56
Lattice="5.6959 0.0000 0.0000 0.0000 7.8392 0.0000 0.0000 6.2036 15.3557" Properties=species:S:1:pos:R:3 pbc="T T T"
O 4.7430 9.5071 4.1932
O 3.0526 2.5813 6.2245
Ce 1.1480 8.5988 5.5710
Al 0.0164 5.3948 3.8610
O 5.6511 6.3370 5.5314
Al 2.8315 8.4966 11.5388
O 1.4044 6.6849 3.1940
O 1.4986 4.5377 4.5499
O 4.6002 8.5750 15.2158
Si 1.4282 4.3196 1.2711
O 0.2047 8.3598 1.4533
O 4.3465 6.4033 3.1280
Ce 1.6999 11.7006 13.2488
O 1.8951 1.4339 3.4846
Si 1.5596 8.1185 2.3678
O 5.6466 9.7123 13.1631
O 1.0415 5.9615 8.3208
O 1.0957 5.4679 0.1400
O 3.8895 11.1832 14.7127
Si 4.4076 2.8225 5.3100
Al 2.8644 5.5462 3.8169
O 2.7986 7.4323 9.8704
O 1.4436 9.7867 10.8719
O 2.6433 11.4616 9.1312
Ce 1.1757 7.5983 14.4189
Ce 3.9960 2.3423 2.1069
O 4.2523 4.2561 4.4838
O 1.3494 7.6395 12.2277
Si 4.2677 9.7233 14.0846
Si 4.2761 6.6215 6.4067
O 2.8032 4.6040 2.1464
O 1.8064 2.8597 0.6430
Si 1.4198 7.4214 8.9490
O 3.9436 5.4732 7.5379
Al 5.6794 8.6481 11.4947
Ce 4.0236 9.5464 8.6147
O 2.8972 6.6105 5.4853
Si 4.1362 5.9243 12.9879
O 1.7523 8.5697 7.8178
O 0.9529 4.5357 11.1625
O 0.0320 2.7974 6.3039
O 5.6639 11.2455 9.0518
O 2.8159 5.8992 13.9817
O 3.8008 12.6089 11.8711
Ce 1.6722 4.4965 6.7410
O 5.4912 5.6831 13.9024
O 4.1973 9.5051 10.8059
O 0.0493 4.3305 2.1926
O 2.8927 9.4388 13.2093
O 4.2915 7.3580 12.1617
O 4.6543 8.0813 7.0349
O 2.8799 8.1437 1.3740
O 0.0448 7.7058 9.8243
Ce 4.5478 5.4441 9.7847
Si 1.2883 11.2204 10.0457
Ce 4.5202 6.4446 0.9368
```

space group	P2_1/c, No. 14

8.
Ce3Al12Os4: relaxed, PBE.

The structure in extended XYZ format:
```
38
Lattice="-2.6186 8.4155 1.3141 -4.9504 -5.4794 -4.9874 -4.8432 -2.7252 7.8013" Properties=species:S:1:pos:R:3 pbc="T T T"
Al -6.5397 -2.1793 0.9249
Os -4.8968 -4.1023 1.4069
Al -3.6324 -2.0439 5.8509
Os -1.3093 4.2078 0.6570
Os -3.7845 1.4681 -1.8367
Os -6.2061 0.1055 2.0639
Al -4.2282 -0.8787 -2.7982
Os -2.4216 -1.3626 3.9006
Ce -3.6298 -1.1727 0.2769
Al -7.3608 -4.7925 0.5281
Al -3.3646 5.9526 0.8826
Al -7.5633 -1.4480 3.6187
Al -4.8489 1.6590 0.5092
Al -5.9035 3.1424 -1.6754
Ce -5.7107 -3.4759 -1.8195
Al -6.7471 -4.0710 3.2091
Al -9.0477 -5.7416 3.2453
Al -5.6651 4.2820 0.9188
Al -2.0216 1.6365 0.2086
Al -5.8726 2.3903 3.2030
Al -3.3059 3.3668 2.0637
Ce -6.8114 0.0615 -1.2672
Al -10.3907 -1.4255 3.9193
Ce -6.7016 3.6868 5.9474
Os 0.0000 0.0000 0.0000
Al -5.0515 5.0035 3.5998
Al -4.8218 -1.9822 3.0861
Os -3.7309 2.8452 4.5577
Al -3.7085 0.6873 2.9258
Ce -5.6009 0.1495 5.3951
Ce -8.7824 1.3837 3.8510
Al -6.5087 -2.9314 5.8033
Al -8.1840 1.0897 6.9261
Al -1.2108 -0.6813 1.9503
Os -2.4752 -2.7397 -2.4937
Al -9.1063 -3.1558 2.0642
Al -7.5904 2.1932 1.0418
Al -8.7038 -0.4764 1.2021
```

space group	P6_3/mmc, No. 194

9.
CeAlPd: relaxed, PBE.

The structure in extended XYZ format:
```
42
Lattice="-0.8273 3.8901 1.4738 -5.5254 -2.6008 3.7632 17.4212 -4.7441 22.3007" Properties=species:S:1:pos:R:3 pbc="T T T"
Ce -3.3439 -3.1679 6.4847
Ce 11.6603 -4.6462 18.8086
Ce 9.7866 -6.7436 23.2930
Ce 7.0589 -2.1926 15.8525
Al 10.4698 -3.7289 21.8222
Ce 1.8016 -1.9615 6.1886
Ce -4.7365 -2.2294 3.2258
Ce 13.1338 -5.5793 22.0987
Pd 9.4051 -5.8101 20.6149
Ce 3.8750 -1.3255 11.7769
Pd 6.2282 -2.6043 10.3701
Al -1.1711 -0.5589 6.9208
Al 3.2635 0.8968 5.5677
Al 6.9884 -5.9617 19.6584
Ce 7.5080 -0.7984 12.4246
Pd 2.1536 -3.5592 10.6032
Al 6.0084 -3.6439 12.9907
Ce 6.1154 0.1402 9.1657
Pd 12.9270 -2.8205 20.8039
Pd -3.4567 -0.4234 5.2803
Pd 4.3104 -2.3034 14.6023
Al -0.4524 1.2789 2.4734
Ce 10.4060 -1.0282 14.6581
Pd 0.6179 0.5314 5.0472
Ce 8.5323 -3.1257 19.1425
Pd -1.5389 -0.7244 1.0481
Al 4.9679 -4.7816 15.4095
Al 3.9426 -2.4689 8.7297
Ce -1.1035 -1.7022 3.8736
Pd 3.5008 0.0226 8.0085
Pd 10.7875 -1.9618 17.3363
Ce 0.9699 -1.0663 9.4619
Al -0.4920 -3.9246 10.0827
Al -3.2369 0.6162 2.6597
Al 13.2042 -1.8102 18.2927
Pd 11.4446 -4.4813 24.3554
Pd 7.2657 -4.9513 17.1473
Pd -0.7293 -3.0503 7.6419
Al 15.2248 -2.9902 22.5417
Al 9.7228 -4.0430 16.1290
Pd 8.7481 -3.2906 13.5958
Al 3.2239 -4.3067 13.1770
```

space group	Pmmn, No. 59

10.
CeAl3Pd: relaxed, PBE.

The structure in extended XYZ format:
```
5
Lattice="-2.0931 2.0931 5.5195 2.0931 -2.0931 5.5195 2.0931 2.0931 -5.5195" Properties=species:S:1:pos:R:3 pbc="T T T"
Al 0.0000 0.0000 6.7919
Pd 2.0931 0.0000 2.7597
Ce 0.0000 0.0000 0.0000
Al 0.0000 2.0931 2.7597
Al 0.0000 0.0000 4.2471
```

space group	I-4m2, No. 119

11.
CeAl2Pd2: relaxed, PBE.

The structure in extended XYZ format:
```
10
Lattice="-3.6535 2.2840 -0.0153 -1.4648 -2.3653 -3.2900 -4.2231 -6.7104 6.7045" Properties=species:S:1:pos:R:3 pbc="T T T"
Al -2.5592 -0.0406 -1.6527
Pd -2.1116 -3.3552 3.3523
Ce -1.7850 -2.8551 0.0260
Al -3.4083 -1.3711 2.5032
Al -3.3740 -5.3800 2.5486
Pd -2.3862 0.2529 0.8806
Pd -4.3960 -7.0040 4.1712
Pd -4.6707 -3.3959 1.6996
Ce -4.9973 -3.8960 5.0259
Al 0.0000 0.0000 0.0000
```

space group	P4/nmm, No. 129

12.
CeAl2Pd5: relaxed, PBE.

The structure in extended XYZ format:
```
8
Lattice="-2.1023 2.1023 7.4614 2.1023 -2.1023 7.4614 2.1023 2.1023 -7.4614" Properties=species:S:1:pos:R:3 pbc="T T T"
Pd 2.1023 0.0000 2.1656
Pd 0.0000 2.1023 2.1656
Ce 0.0000 0.0000 7.4614
Al 0.0000 0.0000 3.6836
Al 0.0000 0.0000 11.2391
Pd 0.0000 0.0000 0.0000
Pd 2.1023 0.0000 5.2958
Pd 0.0000 2.1023 5.2958
```

space group	I4/mmm, No. 139

13.
CeAlPd: relaxed, PBE.

The structure in extended XYZ format:
```
9
Lattice="0.0000 0.0000 -4.1795 -3.5915 -6.2206 0.0000 -3.5915 6.2206 0.0000" Properties=species:S:1:pos:R:3 pbc="T T T"
Ce -1.5167 -2.6270 -2.0897
Ce -1.5167 2.6270 -2.0897
Al -1.6762 0.0000 0.0000
Ce -4.1496 0.0000 -2.0897
Al -2.7534 -4.7690 0.0000
Pd -3.5915 -2.0735 0.0000
Pd 0.0000 0.0000 -2.0897
Al -2.7534 4.7690 0.0000
Pd -3.5915 2.0735 0.0000
```

space group	P-62m, No. 189

14.
CeAl4Pd: relaxed, PBE.

The structure in extended XYZ format:
```
12
Lattice="2.1366 -7.9070 0.0000 2.1366 7.9070 0.0000 0.0000 0.0000 6.6749" Properties=species:S:1:pos:R:3 pbc="T T T"
Pd 2.1366 -3.5352 5.0062
Al 0.0000 0.0000 3.3375
Pd 2.1366 3.5352 1.6687
Al 2.1366 -1.1151 5.0062
Al 2.1366 1.1151 1.6687
Ce 2.1366 -1.8103 1.6687
Al 0.0000 0.0000 0.0000
Al 2.1366 -5.0228 0.3398
Ce 2.1366 1.8103 5.0062
Al 2.1366 5.0228 6.3351
Al 2.1366 5.0228 3.6773
Al 2.1366 -5.0228 2.9976
```

space group	Cmcm, No. 63

15.
Ce2Al11Pd3: relaxed, PBE.

The structure in extended XYZ format:
```
16
Lattice="4.2628 0.0000 0.0000 0.0000 4.2628 0.0000 0.0000 0.0000 16.8980" Properties=species:S:1:pos:R:3 pbc="T T T"
Pd 2.1314 2.1314 7.1411
Al 0.0000 2.1314 11.2497
Al 2.1314 0.0000 5.7189
Al 2.1314 2.1314 9.6078
Al 2.1314 2.1314 1.2355
Al 2.1314 0.0000 11.2497
Al 0.0000 2.1314 5.7189
Al 0.0000 2.1314 2.8070
Al 0.0000 2.1314 14.0942
Al 2.1314 0.0000 14.0942
Pd 0.0000 0.0000 12.6883
Al 2.1314 0.0000 2.8070
Ce 0.0000 0.0000 8.4872
Al 2.1314 2.1314 15.6598
Ce 0.0000 0.0000 16.8772
Pd 0.0000 0.0000 4.1965
```

space group	P4mm, No. 99

16.
Ce3Al3Pd2Pt: relaxed, PBE.

The structure in extended XYZ format:
```
36
Lattice="2.4790 2.1250 3.0151 0.5381 -6.0789 3.8418 19.3350 -5.9121 -11.7302" Properties=species:S:1:pos:R:3 pbc="T T T"
Pd 19.0689 -7.8873 -5.2061
Ce 17.8954 -4.9397 -9.5942
Pd 3.2764 -1.9694 0.3319
Al 5.7302 -1.6740 1.3818
Pt 14.1468 -3.4540 -4.2837
Ce 6.2087 -4.3007 -0.4359
Ce 16.1612 -5.5543 -4.4597
Al 12.1627 -3.6263 -2.5310
Pd 1.7577 -4.4597 3.3357
Ce 5.0055 -0.9788 -1.7878
Al 10.2056 -6.2293 -2.3629
Al 3.7709 -4.2716 1.5479
Pt 6.1872 -3.9664 2.6217
Al 8.3044 -5.4199 1.9053
Pd 8.2014 -6.4281 -0.5749
Pt 20.5875 -5.4253 -8.1898
Pd 16.1638 -5.9089 -7.4874
Pd 14.6495 -8.4033 -4.4844
Ce 17.3406 -8.8635 -3.0971
Pd 12.6261 -5.9169 -1.2976
Al 14.7630 -7.4049 -2.0058
Pt 7.7071 -1.4768 -0.3826
Al 7.5687 -2.4758 -2.8402
Al 18.6060 -5.5939 -6.4419
Pd 9.7186 -3.9385 -3.5769
Al 16.6491 -8.2049 -6.2683
Al 1.1246 -0.5086 1.0716
Ce 4.4434 -4.9249 4.7309
Ce 11.4562 -2.9728 -5.6862
Ce 3.2772 -1.6168 3.3583
Al 14.0214 -4.4489 -6.7549
Ce 10.8872 -6.8853 0.8146
Ce 9.7154 -3.5790 -0.5522
Ce 12.6541 -6.2691 -4.3479
Al 21.2004 -9.3728 -5.9117
Ce 19.0955 -8.2377 -8.2565
```

space group	Pm, No. 6

Results for uncorrected energy: -8.025 -5.325 -5.397 -5.111 -4.985 -5.723 -8.163 -6.252 -5.726 -5.057 -5.572 -5.791 -5.735 -4.949 -4.837 -5.886 (in eV/atom, following the order of the records).